The following is a DFT calculation (PBE with a Hubbard U) of crystalline Li4MnFe3B4O12 at its relaxed geometry.

Values from the calculation:
Volume (Å³/atom): 10.49
Crystal system: triclinic
ΔE_f (meV per atom): -2372
Relative energy among the computed polymorphs (meV per atom): 3

a = 5.2533 Å, b = 6.2010 Å, c = 7.8927 Å
α = 78.39°, β = 88.47°, γ = 88.83°
Last column: nearest neighbours and their distance in Å.
Sites, in units of the cell vectors:
O (0.8336, 0.2041, 0.4724)  1 B 1.39
O (0.9218, 0.8367, 0.8664)  1 B 1.38
O (0.4232, 0.3412, 0.3645)  1 B 1.39
O (0.5400, 0.8405, 0.3340)  1 B 1.40
O (0.4657, 0.1630, 0.6647)  1 B 1.40
O (0.1640, 0.7918, 0.5206)  1 B 1.40
O (0.0418, 0.3446, 0.8362)  1 B 1.40
O (0.5724, 0.6615, 0.6340)  1 B 1.38
O (0.9572, 0.6582, 0.1652)  1 B 1.41
O (0.3321, 0.7039, 0.9778)  1 B 1.39
O (0.6651, 0.2959, 0.0213)  1 B 1.40
O (0.0714, 0.1580, 0.1344)  1 B 1.38
B (0.5749, 0.2396, 0.5004)  3 O 1.39-1.40
B (0.9265, 0.2631, 0.9979)  3 O 1.38-1.40
B (0.4269, 0.7605, 0.4966)  3 O 1.38-1.40
B (0.0727, 0.7368, 0.0020)  3 O 1.38-1.41
Li (0.9314, 0.6287, 0.6967)  4 O 1.96-2.04
Li (0.4330, 0.1273, 0.1973)  4 O 1.96-2.05
Li (0.5660, 0.8714, 0.8040)  4 O 1.94-2.05
Li (0.0656, 0.3710, 0.3034)  4 O 1.94-2.06
Fe (0.5785, 0.5875, 0.1795)  4 O 2.04-2.18
Fe (0.9318, 0.9123, 0.3248)  4 O 2.01-2.21
Fe (0.4300, 0.4131, 0.8284)  4 O 2.00-2.21
Mn (0.0743, 0.0893, 0.6772)  4 O 2.08-2.21



The following is a DFT calculation (PBE with a Hubbard U) of crystalline Li4Mn3FeB4O12 at its relaxed geometry.

Values from the calculation:
Volume (Å³/atom): 10.43
Crystal system: triclinic
ΔE_f (meV per atom): -2463
Relative energy among the computed polymorphs (meV per atom): 0

a = 5.2465 Å, b = 5.2497 Å, c = 20.9517 Å
α = 90.86°, β = 90.78°, γ = 119.80°
Last column: nearest neighbours and their distance in Å.
Sites, in units of the cell vectors:
Mn (0.0031, 0.6707, 0.6916)  5 O 2.09-2.30
Mn (0.0032, 0.3228, 0.8169)  5 O 2.09-2.28
Mn (0.3227, 0.0030, 0.5661)  5 O 2.09-2.28
Mn (0.0072, 0.6731, 0.1921)  5 O 2.09-2.33
Mn (0.6755, 0.0066, 0.4409)  5 O 2.09-2.32
Mn (0.6688, 0.0036, 0.9428)  5 O 2.09-2.31
B (0.3419, 0.9974, 0.8130)  3 O 1.38-1.40
B (0.3385, 0.9972, 0.3130)  3 O 1.39-1.40
B (0.9973, 0.3388, 0.0632)  3 O 1.39-1.40
B (0.9974, 0.3418, 0.5628)  3 O 1.39-1.40
B (0.0032, 0.6652, 0.9386)  3 O 1.38-1.40
B (0.6651, 0.0045, 0.6879)  3 O 1.38-1.40
B (0.0060, 0.6658, 0.4369)  3 O 1.39-1.40
B (0.6661, 0.0050, 0.1876)  3 O 1.39-1.40
O (0.7412, 0.0712, 0.0497)  1 B 1.40
O (0.9292, 0.2471, 0.7090)  1 B 1.40
O (0.6432, 0.7316, 0.1806)  1 B 1.39
O (0.2727, 0.3710, 0.5553)  1 B 1.39
O (0.4224, 0.0371, 0.1722)  1 B 1.40
O (0.2490, 0.9292, 0.4582)  1 B 1.40
O (0.0707, 0.7465, 0.7981)  1 B 1.40
O (0.9671, 0.5791, 0.5834)  1 B 1.40
O (0.7319, 0.6422, 0.4300)  1 B 1.39
O (0.9288, 0.2480, 0.2090)  1 B 1.40
O (0.0383, 0.4227, 0.4216)  1 B 1.40
O (0.9799, 0.5851, 0.0820)  1 B 1.39
O (0.2455, 0.9288, 0.9596)  1 B 1.39
O (0.4217, 0.0373, 0.6726)  1 B 1.40
O (0.5855, 0.9798, 0.3318)  1 B 1.40
O (0.0713, 0.7414, 0.2993)  1 B 1.40
O (0.0362, 0.4218, 0.9234)  1 B 1.40
O (0.7470, 0.0707, 0.5478)  1 B 1.40
O (0.3593, 0.2702, 0.3061)  1 B 1.39
O (0.7298, 0.6418, 0.9311)  1 B 1.38
O (0.2710, 0.3595, 0.0564)  1 B 1.39
O (0.5793, 0.9672, 0.8338)  1 B 1.40
O (0.3710, 0.2722, 0.8057)  1 B 1.38
O (0.6412, 0.7312, 0.6806)  1 B 1.38
Li (0.6791, 0.6514, 0.8341)  4 O 1.92-2.05
Li (0.3481, 0.3381, 0.7089)  4 O 1.95-2.08
Li (0.3468, 0.3379, 0.2082)  4 O 1.95-2.09
Li (0.6782, 0.6520, 0.3340)  4 O 1.94-2.03
Li (0.3380, 0.3484, 0.4585)  4 O 1.95-2.07
Li (0.6525, 0.6786, 0.0843)  4 O 1.94-2.04
Li (0.6508, 0.6791, 0.5839)  4 O 1.91-2.05
Li (0.3379, 0.3464, 0.9586)  4 O 1.95-2.09
Fe (0.3163, 0.0033, 0.0665)  3 O 2.01-2.11
Fe (0.0041, 0.3177, 0.3160)  4 O 2.01-2.25



The following is a DFT calculation (PBE with a Hubbard U) of crystalline Li8Mn7FeB8O24 at its relaxed geometry.

Values from the calculation:
Volume (Å³/atom): 10.51
Crystal system: triclinic
ΔE_f (meV per atom): -2485

a = 5.2505 Å, b = 9.1309 Å, c = 11.6098 Å
α = 111.49°, β = 102.29°, γ = 89.82°
Last column: nearest neighbours and their distance in Å.
Sites, in units of the cell vectors:
Fe (0.7516, 0.0647, 0.1324)  5 O 2.03-2.26
Mn (0.9760, 0.6548, 0.6329)  5 O 2.10-2.29
Mn (0.0207, 0.3537, 0.3813)  5 O 2.09-2.31
Mn (0.4754, 0.1548, 0.6329)  5 O 2.10-2.29
Mn (0.2446, 0.5650, 0.1333)  5 O 2.09-2.29
Mn (0.5232, 0.8563, 0.3835)  5 O 2.09-2.31
Mn (0.7721, 0.4392, 0.8828)  5 O 2.09-2.30
Mn (0.2752, 0.9407, 0.8853)  5 O 2.09-2.32
B (0.9702, 0.3144, 0.6259)  3 O 1.39-1.40
B (0.2661, 0.6055, 0.8761)  3 O 1.38-1.40
B (0.5242, 0.1848, 0.3746)  3 O 1.38-1.40
B (0.0244, 0.6850, 0.3755)  3 O 1.39-1.40
B (0.7337, 0.3907, 0.1249)  3 O 1.38-1.40
B (0.7676, 0.1055, 0.8765)  3 O 1.38-1.41
B (0.2381, 0.8953, 0.1272)  3 O 1.39-1.40
B (0.4700, 0.8143, 0.6259)  3 O 1.39-1.40
O (0.7678, 0.1528, 0.3435)  1 B 1.40
O (0.8997, 0.2898, 0.1644)  1 B 1.40
O (0.4014, 0.7935, 0.1663)  1 B 1.39
O (0.0214, 0.1098, 0.8615)  1 B 1.38
O (0.3436, 0.0145, 0.0982)  1 B 1.40
O (0.4032, 0.0852, 0.4176)  1 B 1.40
O (0.0708, 0.1697, 0.6112)  1 B 1.39
O (0.4045, 0.3147, 0.3609)  1 B 1.38
O (0.5205, 0.6100, 0.8615)  1 B 1.38
O (0.9681, 0.8766, 0.1130)  1 B 1.40
O (0.9033, 0.5843, 0.4172)  1 B 1.39
O (0.1761, 0.4942, 0.9178)  1 B 1.40
O (0.4662, 0.3703, 0.1108)  1 B 1.38
O (0.0971, 0.7123, 0.8462)  1 B 1.40
O (0.2693, 0.6541, 0.3452)  1 B 1.40
O (0.6007, 0.9245, 0.5958)  1 B 1.40
O (0.9044, 0.8144, 0.3608)  1 B 1.39
O (0.5713, 0.6699, 0.6115)  1 B 1.39
O (0.5974, 0.2114, 0.8456)  1 B 1.41
O (0.6783, 0.9952, 0.9192)  1 B 1.39
O (0.2381, 0.8498, 0.6671)  1 B 1.40
O (0.8364, 0.5119, 0.0966)  1 B 1.40
O (0.1007, 0.4245, 0.5958)  1 B 1.40
O (0.7379, 0.3498, 0.6670)  1 B 1.40
Li (0.7715, 0.7455, 0.1682)  4 O 1.94-2.05
Li (0.4805, 0.5083, 0.6677)  4 O 1.92-2.06
Li (0.9812, 0.0085, 0.6683)  4 O 1.92-2.05
Li (0.2726, 0.2439, 0.1680)  4 O 1.91-2.05
Li (0.7937, 0.7851, 0.9169)  4 O 1.95-2.11
Li (0.2947, 0.2845, 0.9176)  4 O 1.95-2.08
Li (0.5291, 0.5395, 0.4179)  4 O 1.95-2.09
Li (0.0289, 0.0399, 0.4172)  4 O 1.95-2.09



The following is a DFT calculation (PBE with a Hubbard U) of crystalline Li4MnFe3B4O12 at its relaxed geometry.

Values from the calculation:
Volume (Å³/atom): 10.41
Crystal system: triclinic
ΔE_f (meV per atom): -2360
Relative energy among the computed polymorphs (meV per atom): 16

a = 5.9985 Å, b = 5.2206 Å, c = 16.1215 Å
α = 91.08°, β = 98.22°, γ = 89.24°
Last column: nearest neighbours and their distance in Å.
Sites, in units of the cell vectors:
B (0.5371, 0.3318, 0.2024)  3 O 1.37-1.41
B (0.7868, 0.8290, 0.9519)  3 O 1.39-1.40
B (0.0390, 0.3307, 0.7029)  3 O 1.38-1.40
B (0.7145, 0.1696, 0.5492)  3 O 1.38-1.40
B (0.9640, 0.6702, 0.2977)  3 O 1.38-1.40
B (0.2121, 0.1704, 0.0470)  3 O 1.38-1.40
B (0.2865, 0.8275, 0.4528)  3 O 1.39-1.40
B (0.4612, 0.6708, 0.7977)  3 O 1.38-1.41
Mn (0.7760, 0.6674, 0.4596)  4 O 2.08-2.21
Mn (0.0255, 0.1661, 0.2100)  4 O 2.08-2.21
Li (0.6875, 0.6509, 0.6418)  4 O 1.93-2.03
Li (0.4370, 0.1522, 0.8902)  4 O 1.95-2.04
Li (0.8124, 0.3495, 0.8588)  4 O 1.94-2.03
Li (0.5612, 0.8472, 0.1074)  4 O 1.94-2.02
Li (0.0640, 0.8503, 0.6104)  4 O 1.95-2.04
Li (0.9353, 0.1510, 0.3913)  4 O 1.93-2.06
Li (0.3127, 0.3496, 0.3600)  4 O 1.94-2.03
Li (0.1867, 0.6522, 0.1397)  4 O 1.93-2.05
O (0.5151, 0.5913, 0.1906)  1 B 1.37
O (0.9843, 0.4102, 0.3124)  1 B 1.38
O (0.7346, 0.9094, 0.5624)  1 B 1.38
O (0.2350, 0.9108, 0.0595)  1 B 1.38
O (0.8280, 0.8235, 0.3428)  1 B 1.40
O (0.4852, 0.4107, 0.8092)  1 B 1.38
O (0.6676, 0.7072, 0.0074)  1 B 1.39
O (0.9211, 0.6827, 0.9038)  1 B 1.40
O (0.5765, 0.7930, 0.7405)  1 B 1.40
O (0.1724, 0.1840, 0.6549)  1 B 1.40
O (0.3290, 0.8195, 0.8460)  1 B 1.41
O (0.4229, 0.2096, 0.2600)  1 B 1.40
O (0.8332, 0.2856, 0.4920)  1 B 1.39
O (0.2668, 0.0902, 0.4412)  1 B 1.39
O (0.1693, 0.7083, 0.5096)  1 B 1.39
O (0.5795, 0.3206, 0.5957)  1 B 1.40
O (0.6684, 0.1837, 0.1536)  1 B 1.41
O (0.3293, 0.2923, 0.9903)  1 B 1.40
O (0.4178, 0.6812, 0.4039)  1 B 1.40
O (0.7657, 0.0919, 0.9403)  1 B 1.39
O (0.0854, 0.7836, 0.2410)  1 B 1.39
O (0.0141, 0.5907, 0.6911)  1 B 1.38
O (0.9227, 0.2079, 0.7598)  1 B 1.40
O (0.0791, 0.3212, 0.0942)  1 B 1.40
Fe (0.2238, 0.3269, 0.5389)  4 O 2.03-2.20
Fe (0.2768, 0.6607, 0.9585)  4 O 2.01-2.19
Fe (0.5249, 0.1608, 0.7089)  4 O 2.00-2.17
Fe (0.9752, 0.8404, 0.7912)  4 O 2.00-2.18
Fe (0.7241, 0.3267, 0.0400)  4 O 2.05-2.18
Fe (0.4728, 0.8387, 0.2896)  4 O 2.01-2.18